# LiSbP4O12 PBE optimized geometry
# uncorrected energy	-6.85	eV/atom
# SG	C2/m, No. 12
# energy relative to the lowest polymorph listed for this composition	47	meV/atom
# formation energy from the elements	-2.4723	eV/atom
data_LiSbP4O12
_symmetry_space_group_name_H-M 'P 1'
_symmetry_Int_Tables_number 1
_symmetry_space_group_name_Hall 'P 1'
_cell_length_a 10.6472
_cell_length_b 10.6472
_cell_length_c 5.5361
_cell_angle_alpha 80.75
_cell_angle_beta 80.75
_cell_angle_gamma 69.21
loop_
_atom_site_label
_atom_site_type_symbol
_atom_site_fract_x
_atom_site_fract_y
_atom_site_fract_z
_atom_site_occupancy
O1 O 0.1991 0.5340 0.0273 1
O2 O 0.3838 0.0990 0.6678 1
O3 O 0.5630 0.3457 0.3307 1
O4 O 0.9039 0.2974 0.6496 1
O5 O 0.7551 0.2449 0.0000 1
O6 O 0.4660 0.8009 0.9727 1
O7 O 0.2449 0.7551 0.0000 1
O8 O 0.8641 0.8641 0.3633 1
O9 O 0.2974 0.9039 0.6496 1
O10 O 0.6162 0.9010 0.3322 1
O11 O 0.0961 0.7026 0.3504 1
O12 O 0.0990 0.3838 0.6678 1
O13 O 0.0657 0.3099 0.2685 1
O14 O 0.3099 0.0657 0.2685 1
O15 O 0.6543 0.4370 0.6693 1
O16 O 0.4370 0.6543 0.6693 1
O17 O 0.9010 0.6162 0.3322 1
O18 O 0.3457 0.5630 0.3307 1
O19 O 0.8009 0.4660 0.9727 1
O20 O 0.6901 0.9343 0.7315 1
O21 O 0.5340 0.1991 0.0273 1
O22 O 0.7026 0.0961 0.3504 1
O23 O 0.1359 0.1359 0.6367 1
O24 O 0.9343 0.6901 0.7315 1
P1 P 0.3761 0.7693 0.8214 1
P2 P 0.2307 0.6239 0.1786 1
P3 P 0.6239 0.2307 0.1786 1
P4 P 0.9464 0.7081 0.4541 1
P5 P 0.7693 0.3761 0.8214 1
P6 P 0.2919 0.0536 0.5459 1
P7 P 0.0536 0.2919 0.5459 1
P8 P 0.7081 0.9464 0.4541 1
Li1 Li 0.5621 0.5621 0.3882 1
Li2 Li 0.4379 0.4379 0.6118 1
Sb1 Sb 0.0000 0.5000 0.0000 1
Sb2 Sb 0.5000 0.0000 0.0000 1